DFT (GGA-PBE) results for crystalline NaLaSiO4 at its relaxed geometry.

a = 7.146 Å, b = 5.504 Å, c = 9.611 Å
α = 90.00°, β = 90.00°, γ = 90.00°
Atoms (fractional coordinates):
Na 0.169 0.250 0.080
Na 0.331 0.750 0.580
Na 0.669 0.250 0.420
Na 0.831 0.750 0.920
La 0.009 0.750 0.307
La 0.491 0.250 0.807
La 0.509 0.750 0.193
La 0.991 0.250 0.693
Si 0.234 0.250 0.419
Si 0.266 0.750 0.919
Si 0.734 0.250 0.081
Si 0.766 0.750 0.581
O 0.003 0.250 0.424
O 0.189 0.750 0.082
O 0.195 0.504 0.839
O 0.195 0.996 0.839
O 0.305 0.004 0.339
O 0.305 0.496 0.339
O 0.311 0.250 0.582
O 0.497 0.750 0.924
O 0.503 0.250 0.076
O 0.689 0.750 0.418
O 0.695 0.504 0.661
O 0.695 0.996 0.661
O 0.805 0.004 0.161
O 0.805 0.496 0.161
O 0.811 0.250 0.918
O 0.997 0.750 0.576

Computed properties:
Crystal system: orthorhombic
Polymorph energy (0 for the lowest one): 13 meV/atom
SG: Pnma, No. 62

---

DFT (GGA-PBE) results for crystalline Sn3SO7 at its relaxed geometry.

a = 13.358 Å, b = 5.797 Å, c = 12.219 Å
α = 90.00°, β = 90.00°, γ = 90.00°
Atoms (fractional coordinates):
Sn 0.000 0.060 0.000
Sn 0.000 0.940 0.500
Sn 0.114 0.437 0.601
Sn 0.189 0.937 0.742
Sn 0.311 0.937 0.242
Sn 0.386 0.437 0.101
Sn 0.500 0.060 0.500
Sn 0.500 0.940 0.000
Sn 0.614 0.563 0.601
Sn 0.689 0.063 0.742
Sn 0.811 0.063 0.242
Sn 0.886 0.563 0.101
S 0.071 0.746 0.230
S 0.429 0.746 0.730
S 0.571 0.254 0.230
S 0.929 0.254 0.730
O 0.001 0.939 0.200
O 0.017 0.523 0.200
O 0.064 0.259 0.478
O 0.095 0.749 0.347
O 0.130 0.777 0.588
O 0.164 0.765 0.163
O 0.212 0.268 0.687
O 0.288 0.268 0.187
O 0.336 0.765 0.663
O 0.370 0.777 0.088
O 0.405 0.749 0.847
O 0.436 0.259 0.978
O 0.483 0.523 0.700
O 0.499 0.939 0.700
O 0.501 0.061 0.200
O 0.517 0.477 0.200
O 0.564 0.741 0.478
O 0.595 0.251 0.347
O 0.630 0.223 0.588
O 0.664 0.235 0.163
O 0.712 0.732 0.687
O 0.788 0.732 0.187
O 0.836 0.235 0.663
O 0.870 0.223 0.088
O 0.905 0.251 0.847
O 0.936 0.741 0.978
O 0.983 0.477 0.700
O 0.999 0.061 0.700

Computed properties:
Crystal system: orthorhombic
Energy: -5.900 eV per atom
SG: Pca2_1, No. 29

---

DFT (GGA-PBE) results for crystalline Cs2NpO3 at its relaxed geometry.

a = 7.057 Å, b = 7.057 Å, c = 6.412 Å
α = 90.00°, β = 90.00°, γ = 66.48°
Atoms (fractional coordinates):
Cs 0.018 0.306 0.000
Cs 0.306 0.018 0.500
Cs 0.694 0.982 0.000
Cs 0.982 0.694 0.500
Np 0.414 0.586 0.983
Np 0.586 0.414 0.483
O 0.153 0.847 0.942
O 0.377 0.390 0.238
O 0.390 0.377 0.738
O 0.610 0.623 0.238
O 0.623 0.610 0.738
O 0.847 0.153 0.442

Computed properties:
Crystal system: orthorhombic
Energy: -7.109 eV per atom
SG: Cmc2_1, No. 36

---

DFT (GGA-PBE) results for crystalline Nd3BeCrS7 at its relaxed geometry.

a = 9.982 Å, b = 9.982 Å, c = 5.990 Å
α = 90.00°, β = 90.00°, γ = 120.00°
Atoms (fractional coordinates):
Nd 0.139 0.750 0.000
Nd 0.250 0.390 0.000
Nd 0.390 0.139 0.500
Nd 0.610 0.861 0.000
Nd 0.750 0.610 0.500
Nd 0.861 0.250 0.500
Be 0.333 0.667 0.584
Be 0.667 0.333 0.084
Cr 0.000 0.000 0.231
Cr 0.000 0.000 0.731
S 0.078 0.858 0.474
S 0.110 0.519 0.716
S 0.142 0.220 0.474
S 0.220 0.078 0.974
S 0.333 0.667 0.234
S 0.410 0.890 0.716
S 0.481 0.590 0.716
S 0.519 0.410 0.216
S 0.590 0.110 0.216
S 0.667 0.333 0.734
S 0.780 0.922 0.474
S 0.858 0.780 0.974
S 0.890 0.481 0.216
S 0.922 0.142 0.974

Computed properties:
Crystal system: hexagonal
Energy: -6.296 eV per atom
SG: P6_3, No. 173

---

DFT (GGA-PBE) results for crystalline Y2Zr24O51 at its relaxed geometry.

a = 3.645 Å, b = 3.659 Å, c = 69.046 Å
α = 90.00°, β = 90.00°, γ = 90.00°
Atoms (fractional coordinates):
Y 0.000 0.000 0.000
Y 0.500 0.500 0.045
Zr 0.000 0.000 0.082
Zr 0.000 0.000 0.159
Zr 0.000 0.000 0.235
Zr 0.000 0.000 0.312
Zr 0.000 0.000 0.389
Zr 0.000 0.000 0.466
Zr 0.000 0.000 0.543
Zr 0.000 0.000 0.620
Zr 0.000 0.000 0.697
Zr 0.000 0.000 0.774
Zr 0.000 0.000 0.851
Zr 0.000 0.000 0.926
Zr 0.500 0.500 0.120
Zr 0.500 0.500 0.197
Zr 0.500 0.500 0.274
Zr 0.500 0.500 0.350
Zr 0.500 0.500 0.427
Zr 0.500 0.500 0.504
Zr 0.500 0.500 0.581
Zr 0.500 0.500 0.658
Zr 0.500 0.500 0.736
Zr 0.500 0.500 0.813
Zr 0.500 0.500 0.889
Zr 0.500 0.500 0.964
O 0.000 0.500 0.023
O 0.000 0.500 0.067
O 0.000 0.500 0.105
O 0.000 0.500 0.144
O 0.000 0.500 0.182
O 0.000 0.500 0.220
O 0.000 0.500 0.259
O 0.000 0.500 0.297
O 0.000 0.500 0.336
O 0.000 0.500 0.374
O 0.000 0.500 0.413
O 0.000 0.500 0.451
O 0.000 0.500 0.489
O 0.000 0.500 0.528
O 0.000 0.500 0.566
O 0.000 0.500 0.605
O 0.000 0.500 0.644
O 0.000 0.500 0.682
O 0.000 0.500 0.721
O 0.000 0.500 0.759
O 0.000 0.500 0.797
O 0.000 0.500 0.835
O 0.000 0.500 0.873
O 0.000 0.500 0.910
O 0.000 0.500 0.945
O 0.000 0.500 0.981
O 0.500 0.000 0.060
O 0.500 0.000 0.097
O 0.500 0.000 0.135
O 0.500 0.000 0.174
O 0.500 0.000 0.212
O 0.500 0.000 0.250
O 0.500 0.000 0.288
O 0.500 0.000 0.327
O 0.500 0.000 0.365
O 0.500 0.000 0.404
O 0.500 0.000 0.442
O 0.500 0.000 0.481
O 0.500 0.000 0.519
O 0.500 0.000 0.558
O 0.500 0.000 0.596
O 0.500 0.000 0.635
O 0.500 0.000 0.673
O 0.500 0.000 0.712
O 0.500 0.000 0.750
O 0.500 0.000 0.789
O 0.500 0.000 0.828
O 0.500 0.000 0.866
O 0.500 0.000 0.905
O 0.500 0.000 0.944
O 0.500 0.000 0.983

Computed properties:
Crystal system: orthorhombic
Energy: -9.423 eV per atom
SG: Pmm2, No. 25

---

DFT (GGA-PBE) results for crystalline Gd2P7Rh12 at its relaxed geometry.

a = 9.642 Å, b = 9.642 Å, c = 3.881 Å
α = 90.00°, β = 90.00°, γ = 120.00°
Atoms (fractional coordinates):
Gd 0.333 0.667 0.251
Gd 0.667 0.333 0.749
P 0.000 0.000 0.500
P 0.117 0.713 0.753
P 0.287 0.404 0.753
P 0.404 0.117 0.247
P 0.596 0.883 0.753
P 0.713 0.596 0.247
P 0.883 0.287 0.247
Rh 0.067 0.449 0.751
Rh 0.112 0.261 0.250
Rh 0.149 0.888 0.250
Rh 0.261 0.149 0.750
Rh 0.382 0.933 0.751
Rh 0.449 0.382 0.249
Rh 0.551 0.618 0.751
Rh 0.618 0.067 0.249
Rh 0.739 0.851 0.250
Rh 0.851 0.112 0.750
Rh 0.888 0.739 0.750
Rh 0.933 0.551 0.249

Computed properties:
Crystal system: trigonal
Energy: -7.772 eV per atom
SG: P-3, No. 147

---

| no. | calculated volume (Å³ per atom) |
| --- | --- |
| 1 | 13.501 |
| 2 | 21.503 |
| 3 | 24.398 |
| 4 | 21.538 |
| 5 | 11.957 |
| 6 | 14.880 |